A geometry-optimized CaH8Cl2O4 structure. Source: the Materials Project, functional GGA-PBE.

Calculated values
* energy of formation from the pure elements: -22.29 eV per formula unit
* corrected total energy (MP2020 scheme): -4.99 eV/atom
* energy above the most stable polymorph in this dataset: 15.1 meV/atom

a b c (Å): 9.0391 10.2664 12.9018
angles (deg): 90.00 115.20 90.00
Last column: nearest neighbours and their distance in Å.
Sites, in units of the cell vectors:
Ca 0.0000 0.0000 0.0000  6 Cl 2.74-2.82
Ca 0.0000 0.5000 0.5000  6 Cl 2.74-2.82
Ca 0.2607 0.0474 0.6369  6 O 2.40-2.55
Ca 0.2607 0.4526 0.1369  6 O 2.40-2.55
Ca 0.7393 0.5474 0.8631  6 O 2.40-2.55
Ca 0.7393 0.9526 0.3631  6 O 2.40-2.55
H 0.0544 0.6851 0.1429  1 O 0.99
H 0.0544 0.8149 0.6429  1 O 0.99
H 0.1114 0.5423 0.8814  1 O 0.99
H 0.1114 0.9577 0.3814  1 O 0.99
H 0.1141 0.6599 0.9565  1 O 0.98
H 0.1141 0.8401 0.4565  1 O 0.98
H 0.1605 0.6578 0.2740  1 O 0.98
H 0.1605 0.8422 0.7740  1 O 0.98
H 0.1913 0.1782 0.8313  1 O 0.98
H 0.1914 0.2112 0.2489  1 O 0.99
H 0.1914 0.2888 0.7489  1 O 0.99
H 0.1913 0.3218 0.3313  1 O 0.98
H 0.3867 0.6488 0.7869  1 O 0.98
H 0.3867 0.8512 0.2869  1 O 0.98
H 0.3927 0.5513 0.3797  1 O 0.98
H 0.3927 0.9487 0.8797  1 O 0.98
H 0.4277 0.6749 0.0602  1 O 0.98
H 0.4277 0.8251 0.5602  1 O 0.98
H 0.4379 0.0664 0.3845  1 O 0.97
H 0.4379 0.4336 0.8845  1 O 0.97
H 0.4533 0.5220 0.6157  1 O 0.99
H 0.4533 0.9780 0.1157  1 O 0.99
H 0.4932 0.7229 0.3141  1 O 0.98
H 0.4932 0.7771 0.8141  1 O 0.98
H 0.5068 0.2229 0.1859  1 O 0.98
H 0.5068 0.2771 0.6859  1 O 0.98
H 0.5467 0.0220 0.8843  1 O 0.99
H 0.5467 0.4780 0.3843  1 O 0.99
H 0.5621 0.5664 0.1155  1 O 0.97
H 0.5621 0.9336 0.6155  1 O 0.97
H 0.5723 0.1749 0.4398  1 O 0.98
H 0.5723 0.3251 0.9398  1 O 0.98
H 0.6073 0.0513 0.1203  1 O 0.98
H 0.6073 0.4487 0.6203  1 O 0.98
H 0.6133 0.1488 0.7131  1 O 0.98
H 0.6133 0.3512 0.2131  1 O 0.98
H 0.8087 0.6782 0.6687  1 O 0.98
H 0.8086 0.7112 0.2511  1 O 0.99
H 0.8086 0.7888 0.7511  1 O 0.99
H 0.8087 0.8218 0.1687  1 O 0.98
H 0.8395 0.1578 0.2260  1 O 0.98
H 0.8395 0.3422 0.7260  1 O 0.98
H 0.8859 0.1599 0.5435  1 O 0.98
H 0.8859 0.3401 0.0435  1 O 0.98
H 0.8886 0.0423 0.6186  1 O 0.99
H 0.8886 0.4577 0.1186  1 O 0.99
H 0.9456 0.1851 0.3571  1 O 0.99
H 0.9456 0.3149 0.8571  1 O 0.99
Cl 0.1536 0.2252 0.9875  2 H 2.13-2.23
Cl 0.1536 0.2748 0.4875  2 H 2.13-2.23
Cl 0.1755 0.5026 0.7375  4 H 2.20-2.43
Cl 0.1755 0.9974 0.2375  4 H 2.20-2.43
Cl 0.2478 0.6407 0.4716  5 H 2.30-2.44
Cl 0.2478 0.8593 0.9716  5 H 2.30-2.44
Cl 0.7522 0.1407 0.0284  5 H 2.30-2.44
Cl 0.7522 0.3593 0.5284  5 H 2.30-2.44
Cl 0.8245 0.0026 0.7625  4 H 2.20-2.43
Cl 0.8245 0.4974 0.2625  4 H 2.20-2.43
Cl 0.8464 0.7252 0.5125  2 H 2.13-2.23
Cl 0.8464 0.7748 0.0125  2 H 2.13-2.23
O 0.0894 0.5661 0.9480  2 H 0.98-0.99
O 0.0894 0.9339 0.4480  2 H 0.98-0.99
O 0.1541 0.6404 0.1973  2 H 0.98-0.99
O 0.1541 0.8596 0.6973  2 H 0.98-0.99
O 0.2005 0.1934 0.7592  2 H 0.98-0.99
O 0.2005 0.3066 0.2592  2 H 0.98-0.99
O 0.4457 0.5844 0.0871  2 H 0.97-0.98
O 0.4457 0.9156 0.5871  2 H 0.97-0.98
O 0.4544 0.5328 0.3343  2 H 0.98-0.99
O 0.4544 0.9672 0.8343  2 H 0.98-0.99
O 0.4991 0.6813 0.8165  2 H 0.98
O 0.4991 0.8187 0.3165  2 H 0.98
O 0.5009 0.1813 0.6835  2 H 0.98
O 0.5009 0.3187 0.1835  2 H 0.98
O 0.5456 0.0328 0.1657  2 H 0.98-0.99
O 0.5456 0.4672 0.6657  2 H 0.98-0.99
O 0.5543 0.0844 0.4129  2 H 0.97-0.98
O 0.5543 0.4156 0.9129  2 H 0.97-0.98
O 0.7995 0.6934 0.7408  2 H 0.98-0.99
O 0.7995 0.8066 0.2408  2 H 0.98-0.99
O 0.8459 0.1404 0.3027  2 H 0.98-0.99
O 0.8459 0.3596 0.8027  2 H 0.98-0.99
O 0.9106 0.0661 0.5520  2 H 0.98-0.99
O 0.9106 0.4339 0.0520  2 H 0.98-0.99



A geometry-optimized CaH8Cl2O4 structure. Source: the Materials Project, functional GGA-PBE.

Calculated values
* energy of formation from the pure elements: -22.51 eV per formula unit
* corrected total energy (MP2020 scheme): -5.01 eV/atom
* energy above the most stable polymorph in this dataset: 0.0 meV/atom

a b c (Å): 6.0895 7.7941 8.9387
angles (deg): 90.00 109.93 90.00
Last column: nearest neighbours and their distance in Å.
Sites, in units of the cell vectors:
Ca 0.0000 0.0000 0.0000  4 O 2.35-2.36
Ca 0.0000 0.5000 0.5000  4 O 2.35-2.36
H 0.0962 0.0716 0.3521  1 O 0.99
H 0.0962 0.4284 0.8521  1 O 0.99
H 0.1097 0.0601 0.6946  1 O 0.99
H 0.1097 0.4399 0.1946  1 O 0.99
H 0.4177 0.7016 0.7030  1 O 0.99
H 0.4177 0.7984 0.2030  1 O 0.99
H 0.4189 0.7284 0.5305  1 O 0.99
H 0.4189 0.7716 0.0305  1 O 0.99
H 0.5811 0.2284 0.9695  1 O 0.99
H 0.5811 0.2716 0.4695  1 O 0.99
H 0.5823 0.2016 0.7970  1 O 0.99
H 0.5823 0.2984 0.2970  1 O 0.99
H 0.8903 0.5601 0.8054  1 O 0.99
H 0.8903 0.9399 0.3054  1 O 0.99
H 0.9038 0.5716 0.1479  1 O 0.99
H 0.9038 0.9284 0.6479  1 O 0.99
Cl 0.2983 0.2160 0.5660  4 H 2.20-2.24
Cl 0.2983 0.2840 0.0660  4 H 2.20-2.24
Cl 0.7017 0.7160 0.9340  4 H 2.20-2.24
Cl 0.7017 0.7840 0.4340  4 H 2.20-2.24
O 0.0068 0.5048 0.2387  2 H 0.99
O 0.0068 0.9952 0.7387  2 H 0.99
O 0.3180 0.6912 0.5903  2 H 0.99
O 0.3180 0.8088 0.0903  2 H 0.99
O 0.6820 0.1912 0.9097  2 H 0.99
O 0.6820 0.3088 0.4097  2 H 0.99
O 0.9932 0.0048 0.2613  2 H 0.99
O 0.9932 0.4952 0.7613  2 H 0.99



A geometry-optimized Ca9La5Cl33 structure. Source: the Materials Project, functional GGA-PBE.

Calculated values
* energy of formation from the pure elements: -134.05 eV per formula unit
* corrected total energy (MP2020 scheme): -5.06 eV/atom
* size of the total moment: 0.602 μB/f.u.

a b c (Å): 11.1064 11.1809 21.1203
angles (deg): 99.30 100.51 109.57
Last column: nearest neighbours and their distance in Å.
Sites, in units of the cell vectors:
Ca 0.0247 0.4789 0.3068  6 Cl 2.77-3.08
Ca 0.1803 0.4163 0.5272  6 Cl 2.85-3.14
Ca 0.1865 0.9050 0.0395  9 Cl 3.00-3.17
Ca 0.2628 0.3584 0.1190  7 Cl 2.78-2.99
Ca 0.2635 0.8481 0.6193  7 Cl 2.77-3.02
Ca 0.3700 0.2942 0.3457  7 Cl 2.86-3.17
Ca 0.3699 0.7678 0.8366  8 Cl 2.88-3.22
Ca 0.4178 0.7386 0.4301  7 Cl 2.90-3.25
Ca 0.4339 0.2477 0.9401  7 Cl 2.87-3.16
Ca 0.5661 0.7523 0.0599  7 Cl 2.87-3.16
Ca 0.5822 0.2614 0.5699  7 Cl 2.90-3.25
Ca 0.6301 0.2322 0.1634  8 Cl 2.88-3.22
Ca 0.6300 0.7058 0.6543  7 Cl 2.86-3.17
Ca 0.7365 0.1519 0.3807  7 Cl 2.77-3.02
Ca 0.7372 0.6416 0.8810  7 Cl 2.78-2.99
Ca 0.8135 0.0950 0.9605  9 Cl 3.00-3.17
Ca 0.8197 0.5837 0.4728  6 Cl 2.85-3.14
Ca 0.9753 0.5211 0.6932  6 Cl 2.77-3.08
La 0.0357 0.9549 0.8147  8 Cl 2.85-2.96
La 0.1204 0.4560 0.9151  8 Cl 2.83-3.05
La 0.1305 0.9567 0.4289  8 Cl 2.84-3.03
La 0.3261 0.3611 0.7350  9 Cl 2.81-3.12
La 0.3595 0.8545 0.2344  8 Cl 2.84-3.01
La 0.6405 0.1455 0.7656  8 Cl 2.84-3.01
La 0.6739 0.6389 0.2650  9 Cl 2.81-3.12
La 0.8695 0.0433 0.5711  8 Cl 2.84-3.03
La 0.8796 0.5440 0.0849  8 Cl 2.83-3.05
La 0.9643 0.0451 0.1853  8 Cl 2.85-2.96
Cl 0.0264 0.3774 0.0335  2 Ca 2.99-3.17, 2 La 3.03-3.05, 2 Cl 3.29-3.32
Cl 0.0377 0.8862 0.5437  1 Ca 2.91, 2 La 2.92-3.03
Cl 0.0507 0.3115 0.7609  2 La 3.09-3.22, 1 Ca 3.19, 3 Cl 3.39-3.43
Cl 0.0578 0.1126 0.0707  1 Ca 2.80, 1 La 2.91
Cl 0.0579 0.6063 0.5708  4 Ca 2.77-3.08
Cl 0.0865 0.0739 0.3213  2 La 2.85-2.86, 1 Ca 3.17
Cl 0.0973 0.6245 0.8308  1 La 2.83, 2 Ca 2.84-2.88
Cl 0.1072 0.1939 0.9140  2 La 2.88-2.89
Cl 0.1285 0.6990 0.4160  2 Ca 2.83-3.04, 1 La 2.84
Cl 0.1452 0.2170 0.6099  2 La 2.85-2.90, 1 Ca 3.02
Cl 0.1575 0.6928 0.1200  2 La 2.84-2.86, 1 Ca 3.10
Cl 0.1616 0.3074 0.2367  1 La 2.89, 3 Ca 2.97-3.17, 1 Cl 3.23
Cl 0.1619 0.8178 0.7334  3 Ca 2.86-3.14, 1 La 2.96
Cl 0.2091 0.0041 0.1854  2 La 2.90-2.91, 1 Ca 3.04
Cl 0.2322 0.5466 0.6931  1 Ca 2.77, 1 La 2.81
Cl 0.2508 0.4569 0.4070  4 Ca 2.85-3.08
Cl 0.2596 0.9644 0.9138  1 La 2.90, 3 Ca 3.00-3.22
Cl 0.2660 0.1479 0.7994  2 La 2.85-2.88, 1 Ca 3.01
Cl 0.2701 0.6386 0.2919  2 Ca 2.82-2.90, 1 La 2.84
Cl 0.3128 0.2269 0.4730  1 La 2.90, 3 Ca 3.02-3.17
Cl 0.3172 0.7294 0.9796  2 Ca 2.87-3.06, 1 La 3.01
Cl 0.3293 0.9607 0.3597  2 La 2.85
Cl 0.3489 0.5036 0.8649  2 La 2.85-2.86, 1 Ca 3.05
Cl 0.3499 0.4531 0.0148  2 Ca 2.78-3.07, 1 La 3.01
Cl 0.3598 0.9647 0.5222  1 Ca 2.79, 1 La 2.89
Cl 0.3804 0.1797 0.0636  4 Ca 2.94-3.00
Cl 0.3845 0.6796 0.5589  4 Ca 2.92-2.98
Cl 0.4116 0.1394 0.6728  2 La 2.89-3.12, 1 Ca 3.02
Cl 0.4354 0.6400 0.1693  2 Ca 2.97-3.16, 2 La 3.01-3.03, 1 Cl 3.24
Cl 0.4494 0.4352 0.6230  3 Ca 2.90-3.21, 1 La 3.04
Cl 0.4545 0.9405 0.1243  1 La 2.90, 3 Ca 3.04-3.07
Cl 0.4608 0.3683 0.2235  3 Ca 2.78-3.10, 1 La 3.02
Cl 0.4723 0.8666 0.7209  2 Ca 2.78-3.09, 1 La 2.93
Cl 0.5277 0.1334 0.2791  2 Ca 2.78-3.09, 1 La 2.93
Cl 0.5392 0.6317 0.7765  3 Ca 2.78-3.10, 1 La 3.02
Cl 0.5455 0.0595 0.8757  1 La 2.90, 3 Ca 3.04-3.07
Cl 0.5506 0.5648 0.3770  3 Ca 2.90-3.21, 1 La 3.04
Cl 0.5646 0.3600 0.8307  2 Ca 2.97-3.16, 2 La 3.01-3.03, 1 Cl 3.24
Cl 0.5884 0.8606 0.3272  2 La 2.89-3.12, 1 Ca 3.02
Cl 0.6155 0.3204 0.4411  4 Ca 2.92-2.98
Cl 0.6196 0.8203 0.9364  4 Ca 2.94-3.00
Cl 0.6402 0.0353 0.4778  1 Ca 2.79, 1 La 2.89
Cl 0.6501 0.5469 0.9852  2 Ca 2.78-3.07, 1 La 3.01
Cl 0.6511 0.4964 0.1351  2 La 2.85-2.86, 1 Ca 3.05
Cl 0.6707 0.0393 0.6403  2 La 2.85
Cl 0.6828 0.2706 0.0204  2 Ca 2.87-3.06, 1 La 3.01
Cl 0.6872 0.7731 0.5270  1 La 2.90, 3 Ca 3.02-3.17
Cl 0.7299 0.3614 0.7081  2 Ca 2.82-2.90, 1 La 2.84
Cl 0.7340 0.8521 0.2006  2 La 2.85-2.88, 1 Ca 3.01
Cl 0.7404 0.0356 0.0862  1 La 2.90, 3 Ca 3.00-3.22
Cl 0.7492 0.5431 0.5930  4 Ca 2.85-3.08
Cl 0.7678 0.4534 0.3069  1 Ca 2.77, 1 La 2.81
Cl 0.7909 0.9959 0.8146  2 La 2.90-2.91, 1 Ca 3.04
Cl 0.8381 0.1822 0.2666  3 Ca 2.86-3.14, 1 La 2.96
Cl 0.8384 0.6926 0.7633  1 La 2.89, 3 Ca 2.97-3.17, 1 Cl 3.23
Cl 0.8425 0.3072 0.8800  2 La 2.84-2.86, 1 Ca 3.10
Cl 0.8548 0.7830 0.3901  2 La 2.85-2.90, 1 Ca 3.02
Cl 0.8715 0.3010 0.5840  2 Ca 2.83-3.04, 1 La 2.84
Cl 0.8928 0.8061 0.0860  2 La 2.88-2.89
Cl 0.9027 0.3755 0.1692  1 La 2.83, 2 Ca 2.84-2.88
Cl 0.9135 0.9261 0.6787  2 La 2.85-2.86, 1 Ca 3.17
Cl 0.9421 0.3937 0.4292  4 Ca 2.77-3.08
Cl 0.9422 0.8874 0.9293  1 Ca 2.80, 1 La 2.91
Cl 0.9493 0.6885 0.2391  2 La 3.09-3.22, 1 Ca 3.19, 3 Cl 3.39-3.43
Cl 0.9623 0.1138 0.4563  1 Ca 2.91, 2 La 2.92-3.03
Cl 0.9736 0.6226 0.9665  2 Ca 2.99-3.17, 2 La 3.03-3.05, 2 Cl 3.29-3.32



A geometry-optimized CaNCl3 structure. Source: the Materials Project, functional GGA-PBE.

Calculated values
* energy of formation from the pure elements: -4.76 eV per formula unit
* corrected total energy (MP2020 scheme): -4.13 eV/atom
* size of the total moment: 0.001 μB/f.u.

a b c (Å): 7.8466 9.0423 7.5474
angles (deg): 90.00 90.00 90.00
Last column: nearest neighbours and their distance in Å.
Sites, in units of the cell vectors:
Ca 0.0000 0.0000 0.0000  4 Cl 2.61-2.86
Ca 0.0000 0.5000 0.0000  4 Cl 2.61-2.86
Ca 0.5000 0.0000 0.5000  4 Cl 2.61-2.86
Ca 0.5000 0.5000 0.5000  4 Cl 2.61-2.86
N 0.0746 0.2500 0.3573  2 Cl 1.79
N 0.4254 0.7500 0.8573  2 Cl 1.79
N 0.5746 0.2500 0.1427  2 Cl 1.79
N 0.9254 0.7500 0.6427  2 Cl 1.79
Cl 0.0749 0.2500 0.8446  2 Ca 2.61
Cl 0.1944 0.0882 0.3029  1 N 1.79
Cl 0.1944 0.4118 0.3029  1 N 1.79
Cl 0.3056 0.5882 0.8029  1 N 1.79
Cl 0.3056 0.9118 0.8029  1 N 1.79
Cl 0.4251 0.7500 0.3446  2 Ca 2.61
Cl 0.5749 0.2500 0.6554  2 Ca 2.61
Cl 0.6944 0.0882 0.1971  1 N 1.79
Cl 0.6944 0.4118 0.1971  1 N 1.79
Cl 0.8056 0.5882 0.6971  1 N 1.79
Cl 0.8056 0.9118 0.6971  1 N 1.79
Cl 0.9251 0.7500 0.1554  2 Ca 2.61



Q: Look up the energy of formation from the pure elements of the second one.
A: -22.51 eV per formula unit